MgNi3C | PBE-GGA | optimized geometry

abc: 3.8102 3.8102 3.8102
angles: 90.00 90.00 90.00
Space group Pm-3m (No. 221)
Unique sites:
Mg  0.0000  0.0000  0.0000
Ni  0.0000  0.5000  0.5000
C  0.5000  0.5000  0.5000

Crystal system: cubic
Energy of formation from the pure elements (kJ/mol of atoms): -13
Calculated volume (Å³/atom): 11.06



Cu3Ag | PBE-GGA | optimized geometry

abc: 3.7728 3.7728 7.5341
angles: 90.00 90.00 90.00
Space group I4/mmm (No. 139)
Unique sites:
Cu  0.0000  0.0000  0.0000
Cu  0.0000  0.5000  0.2500
Ag  0.0000  0.0000  0.5000

Crystal system: tetragonal
Energy of formation from the pure elements (kJ/mol of atoms): 9
Calculated volume (Å³/atom): 13.41



AsS | PBE-GGA | optimized geometry

abc: 10.7353 7.6110 18.9466
angles: 90.00 90.00 90.00
Space group Pca2_1 (No. 29)
Unique sites:
As  0.1210  0.1303  0.0058
As  0.1250  0.3710  0.9102
As  0.1368  0.6234  0.0000
As  0.1391  0.8821  0.9143
As  0.1456  0.6140  0.2436
As  0.1491  0.8908  0.6801
As  0.1541  0.1201  0.3008
As  0.1620  0.3857  0.6182
S  0.1375  0.3906  0.1581
S  0.1418  0.8644  0.1692
S  0.1439  0.1179  0.7640
S  0.1447  0.6406  0.7543
S  0.1572  0.8904  0.3820
S  0.1619  0.6149  0.5369
S  0.1731  0.3646  0.3737
S  0.1801  0.1380  0.5477

Polymorph energy (0 for the lowest one) (meV/atom): 56
E (MP2020) (eV per atom): -4.73
Crystal system: orthorhombic
Energy of formation from the pure elements (kJ/mol of atoms): -32
Calculated volume (Å³/atom): 24.19